P | ## MgAl4H12O12 (GGA-PBE)

Data for crystalline MgAl4H12O12 at its relaxed geometry.

Cell lengths 6.9710, 7.7354, 7.8466 Å; angles 110.37, 141.24, 86.33 degrees
Sites, in units of the cell vectors:
Mg1 0.7899 0.1193 0.4199
Al1 0.3979 0.8152 0.2611
Al2 0.5459 0.1548 0.7098
Al3 0.9450 0.6707 0.5991
Al4 0.0422 0.3449 0.3472
H1 0.0106 0.0327 0.7818
H2 0.9337 0.9904 0.1882
H3 0.6387 0.4993 0.9229
H4 0.3402 0.4423 0.1229
H5 0.1556 0.7039 0.4464
H6 0.1714 0.4370 0.7897
H7 0.2542 0.1424 0.2260
H8 0.6262 0.8271 0.6915
H9 0.5433 0.7459 0.0421
H10 0.4042 0.2296 0.9423
H11 0.1620 0.2480 0.8698
H12 0.8127 0.5919 0.8037
O1 0.8714 0.9068 0.5890
O2 0.0659 0.0936 0.3917
O3 0.5085 0.4151 0.7122
O4 0.4884 0.5820 0.2509
O5 0.0029 0.6041 0.3827
O6 0.9898 0.4210 0.5778
O7 0.4474 0.0889 0.3711
O8 0.4391 0.8669 0.5437
O9 0.4072 0.8197 0.0108
O10 0.5866 0.2081 0.9923
O11 0.9944 0.2346 0.0654
O12 0.9488 0.7084 0.8725

Magnetic moment   0.0 μB per formula unit

---

Q | ## MgAl4H12O12 (GGA-PBE)

Data for crystalline MgAl4H12O12 at its relaxed geometry.

Cell lengths 6.9635, 7.6248, 7.2317 Å; angles 105.63, 137.21, 89.50 degrees
Sites, in units of the cell vectors:
Mg1 0.4407 0.6373 0.5777
Al1 0.4952 0.8515 0.3014
Al2 0.4976 0.1569 0.6691
Al3 0.0010 0.6690 0.6556
Al4 0.9836 0.3083 0.3329
H1 0.9944 0.9671 0.5546
H2 0.9531 0.9451 0.2291
H3 0.5695 0.5074 0.8383
H4 0.4499 0.4898 0.1863
H5 0.8858 0.6240 0.2082
H6 0.8427 0.3236 0.5653
H7 0.3278 0.1401 0.2186
H8 0.7666 0.9318 0.8028
H9 0.5632 0.7496 0.9966
H10 0.4912 0.0835 0.9874
H11 0.9857 0.3722 0.9988
H12 0.9490 0.7114 0.0010
O1 0.9035 0.8947 0.5793
O2 0.0808 0.0753 0.3885
O3 0.4083 0.3853 0.6266
O4 0.5558 0.5988 0.3674
O5 0.0225 0.5826 0.3912
O6 0.9874 0.4055 0.6065
O7 0.4971 0.1114 0.3873
O8 0.5515 0.9062 0.6274
O9 0.4117 0.7973 0.9797
O10 0.5742 0.1917 0.9947
O11 0.9226 0.2648 0.0083
O12 0.0813 0.7438 0.9867

Magnetic moment   0.0 μB per formula unit

---

Which structure loses on stability? Q does.

---

P | ## CaSnP2O7 (GGA-PBE)

Data for crystalline CaSnP2O7 at its relaxed geometry.

Cell lengths 6.8742, 6.9466, 7.0330 Å; angles 85.81, 65.12, 84.58 degrees
Sites, in units of the cell vectors:
Ca1 0.7303 0.1378 0.8366
Ca2 0.2697 0.8622 0.1634
Sn1 0.8885 0.3361 0.2536
Sn2 0.1115 0.6639 0.7464
P1 0.7642 0.8465 0.2594
P2 0.2358 0.1535 0.7406
P3 0.3536 0.3493 0.3060
P4 0.6464 0.6507 0.6940
O1 0.3763 0.2706 0.5257
O2 0.6237 0.7294 0.4743
O3 0.8742 0.0061 0.3118
O4 0.1258 0.9939 0.6882
O5 0.7458 0.4431 0.6560
O6 0.2542 0.5569 0.3440
O7 0.4154 0.6684 0.8621
O8 0.5846 0.3316 0.1379
O9 0.3916 0.0851 0.8372
O10 0.6084 0.9149 0.1628
O11 0.0460 0.2919 0.8828
O12 0.9540 0.7081 0.1172
O13 0.7904 0.7903 0.7265
O14 0.2096 0.2097 0.2735

Magnetic moment   0.0 μB per formula unit

---

Q | ## CaSnP2O7 (GGA-PBE)

Data for crystalline CaSnP2O7 at its relaxed geometry.

Cell lengths 9.7342, 7.6096, 9.5991 Å; angles 66.54, 90.00, 90.00 degrees
Sites, in units of the cell vectors:
Ca1 0.9480 0.2885 0.8219
Ca2 0.4480 0.7115 0.6781
Ca3 0.5520 0.2885 0.3219
Ca4 0.0520 0.7115 0.1781
Sn1 0.0815 0.7656 0.6085
Sn2 0.9185 0.2344 0.3916
Sn3 0.5815 0.2344 0.8916
Sn4 0.4185 0.7656 0.1084
P1 0.7392 0.9305 0.2552
P2 0.2231 0.4686 0.9733
P3 0.7608 0.9305 0.7552
P4 0.2769 0.4686 0.4733
P5 0.2392 0.0695 0.2448
P6 0.7231 0.5314 0.5267
P7 0.7769 0.5314 0.0267
P8 0.2608 0.0695 0.7448
O1 0.1912 0.2542 0.0963
O2 0.6222 0.8933 0.7004
O3 0.8778 0.8933 0.2004
O4 0.3649 0.4787 0.9024
O5 0.8088 0.7458 0.9037
O6 0.1203 0.0324 0.3579
O7 0.6351 0.5213 0.0976
O8 0.1034 0.4998 0.8606
O9 0.2850 0.6044 0.5570
O10 0.8797 0.9676 0.6421
O11 0.3797 0.0324 0.8579
O12 0.7569 0.0953 0.8132
O13 0.2569 0.9047 0.6868
O14 0.3088 0.2542 0.5963
O15 0.6203 0.9676 0.1421
O16 0.1222 0.1067 0.7996
O17 0.2431 0.9047 0.1868
O18 0.8966 0.5002 0.1394
O19 0.2150 0.6044 0.0570
O20 0.7850 0.3956 0.9430
O21 0.8649 0.5213 0.5976
O22 0.3966 0.4998 0.3606
O23 0.6034 0.5002 0.6394
O24 0.3778 0.1067 0.2996
O25 0.7431 0.0953 0.3132
O26 0.1351 0.4787 0.4024
O27 0.7150 0.3956 0.4430
O28 0.6912 0.7458 0.4037

Magnetic moment   0.0 μB per formula unit

---

Which structure loses on stability? Q does.

---

P | ## BaEuNbSbO6 (GGA-PBE)

Data for crystalline BaEuNbSbO6 at its relaxed geometry.

Cell lengths 5.9741, 6.0015, 8.4581 Å; angles 90.48, 89.57, 89.73 degrees
Sites, in units of the cell vectors:
Ba1 0.9958 0.0274 0.2504
Ba2 0.0042 0.9726 0.7496
Eu1 0.5096 0.5379 0.2536
Eu2 0.4904 0.4621 0.7464
Nb1 0.0000 0.5000 0.0000
Nb2 0.5000 0.0000 0.5000
Sb1 0.5000 0.0000 0.0000
Sb2 0.0000 0.5000 0.5000
O1 0.2011 0.2329 0.9609
O2 0.3082 0.7241 0.5452
O3 0.7989 0.7671 0.0391
O4 0.6918 0.2759 0.4548
O5 0.2683 0.6987 0.9483
O6 0.2313 0.2025 0.5309
O7 0.7317 0.3013 0.0517
O8 0.7687 0.7975 0.4691
O9 0.4354 0.9604 0.2657
O10 0.0940 0.4986 0.2328
O11 0.5646 0.0396 0.7343
O12 0.9060 0.5014 0.7672

Magnetic moment   7.0 μB per formula unit

---

Q | ## BaEuNbSbO6 (GGA-PBE)

Data for crystalline BaEuNbSbO6 at its relaxed geometry.

Cell lengths 8.6065, 8.6894, 8.5884 Å; angles 90.00, 90.00, 90.00 degrees
Sites, in units of the cell vectors:
Ba1 0.0000 0.0000 0.0000
Ba2 0.5000 0.5000 0.5000
Ba3 0.5000 0.0000 0.5000
Ba4 0.5000 0.5000 0.0000
Eu1 0.0000 0.5000 0.5000
Eu2 0.5000 0.0000 0.0000
Eu3 0.0000 0.5000 0.0000
Eu4 0.0000 0.0000 0.5000
Nb1 0.7501 0.7516 0.7497
Nb2 0.2499 0.2484 0.7497
Nb3 0.2499 0.7516 0.2503
Nb4 0.7501 0.2484 0.2503
Sb1 0.2478 0.2498 0.2501
Sb2 0.7522 0.7502 0.2501
Sb3 0.7522 0.2498 0.7499
Sb4 0.2478 0.7502 0.7499
O1 0.9851 0.2183 0.2813
O2 0.0149 0.7817 0.2813
O3 0.0149 0.2183 0.7187
O4 0.9851 0.7817 0.7187
O5 0.2789 0.9829 0.2171
O6 0.2789 0.0171 0.7829
O7 0.7211 0.0171 0.2171
O8 0.7211 0.9829 0.7829
O9 0.2169 0.2798 0.9830
O10 0.7831 0.2798 0.0170
O11 0.2169 0.7202 0.0170
O12 0.7831 0.7202 0.9830
O13 0.5188 0.2765 0.2251
O14 0.4812 0.7235 0.2251
O15 0.4812 0.2765 0.7749
O16 0.5188 0.7235 0.7749
O17 0.2179 0.5153 0.2831
O18 0.2179 0.4847 0.7169
O19 0.7821 0.4847 0.2831
O20 0.7821 0.5153 0.7169
O21 0.2754 0.2250 0.5172
O22 0.7246 0.2250 0.4828
O23 0.2754 0.7750 0.4828
O24 0.7246 0.7750 0.5172

Magnetic moment   3.5 μB per formula unit

---

Which structure loses on stability? Q does.

---

P | ## ZnSb2O4 (GGA-PBE)

Data for crystalline ZnSb2O4 at its relaxed geometry.

Cell lengths 8.6689, 8.6689, 6.0814 Å; angles 90.00, 90.00, 90.00 degrees
Sites, in units of the cell vectors:
Zn1 0.5000 0.0000 0.2500
Zn2 0.0000 0.5000 0.7500
Zn3 0.5000 0.0000 0.7500
Zn4 0.0000 0.5000 0.2500
Sb1 0.8359 0.8203 0.0000
Sb2 0.8203 0.1641 0.5000
Sb3 0.1797 0.8359 0.5000
Sb4 0.1641 0.1797 0.0000
Sb5 0.3359 0.6797 0.0000
Sb6 0.6641 0.3203 0.0000
Sb7 0.6797 0.6641 0.5000
Sb8 0.3203 0.3359 0.5000
O1 0.4060 0.8617 0.5000
O2 0.5940 0.1383 0.5000
O3 0.1383 0.4060 0.0000
O4 0.8617 0.5940 0.0000
O5 0.3617 0.9060 0.0000
O6 0.9060 0.6383 0.5000
O7 0.0940 0.3617 0.5000
O8 0.6383 0.0940 0.0000
O9 0.1814 0.6814 0.7500
O10 0.6814 0.8186 0.2500
O11 0.3186 0.1814 0.2500
O12 0.8186 0.3186 0.7500
O13 0.1814 0.6814 0.2500
O14 0.6814 0.8186 0.7500
O15 0.3186 0.1814 0.7500
O16 0.8186 0.3186 0.2500

---

Q | ## ZnSb2O4 (GGA-PBE)

Data for crystalline ZnSb2O4 at its relaxed geometry.

Cell lengths 6.6620, 6.6620, 6.6620 Å; angles 124.25, 115.96, 89.97 degrees
Sites, in units of the cell vectors:
Zn1 0.5000 0.0000 0.0000
Zn2 0.5000 0.5000 0.5000
Sb1 0.9019 0.1519 0.7500
Sb2 0.0981 0.8481 0.2500
Sb3 0.5000 0.5000 0.0000
Sb4 0.0000 0.5000 0.5000
O1 0.6894 0.7393 0.9501
O2 0.2425 0.7458 0.0033
O3 0.2891 0.7393 0.5499
O4 0.2425 0.2392 0.4967
O5 0.7575 0.7608 0.5033
O6 0.7575 0.2542 0.9967
O7 0.7109 0.2607 0.4501
O8 0.3106 0.2607 0.0499

Magnetic moment   0.0 μB per formula unit

---

Which structure loses on stability? Q does.

---

P | ## ReC2 (GGA-PBE)

Data for crystalline ReC2 at its relaxed geometry.

Cell lengths 2.6884, 2.6884, 3.8485 Å; angles 90.00, 90.00, 90.00 degrees
Sites, in units of the cell vectors:
Re1 0.5000 0.5000 0.5000
C1 0.0000 0.0000 0.8159
C2 0.0000 0.0000 0.1841

Magnetic moment   0.0 μB per formula unit

---

Q | ## ReC2 (GGA-PBE)

Data for crystalline ReC2 at its relaxed geometry.

Cell lengths 2.5897, 2.5897, 10.0407 Å; angles 90.00, 90.00, 120.00 degrees
Sites, in units of the cell vectors:
Re1 0.3333 0.6667 0.2500
Re2 0.6667 0.3333 0.7500
C1 0.3333 0.6667 0.0146
C2 0.6667 0.3333 0.9854
C3 0.6667 0.3333 0.5146
C4 0.3333 0.6667 0.4854

---

Which structure loses on stability? P does.

---

P | ## BaMg6W (GGA-PBE)

Data for crystalline BaMg6W at its relaxed geometry.

Cell lengths 5.1576, 6.6000, 11.4938 Å; angles 90.00, 90.00, 90.00 degrees
Sites, in units of the cell vectors:
Ba1 0.0000 0.5000 0.3321
Ba2 0.0000 0.0000 0.8321
Mg1 0.0000 0.7264 0.0867
Mg2 0.0000 0.2736 0.0867
Mg3 0.0000 0.0000 0.3329
Mg4 0.5000 0.2283 0.4260
Mg5 0.5000 0.7717 0.4260
Mg6 0.5000 0.0000 0.1641
Mg7 0.0000 0.2264 0.5867
Mg8 0.0000 0.7736 0.5867
Mg9 0.0000 0.5000 0.8329
Mg10 0.5000 0.7283 0.9260
Mg11 0.5000 0.2717 0.9260
Mg12 0.5000 0.5000 0.6641
W1 0.5000 0.5000 0.1454
W2 0.5000 0.0000 0.6454

Magnetic moment   0.8 μB per formula unit

---

Q | ## BaMg6W (GGA-PBE)

Data for crystalline BaMg6W at its relaxed geometry.

Cell lengths 6.6823, 6.6823, 4.3651 Å; angles 90.00, 90.00, 90.00 degrees
Sites, in units of the cell vectors:
Ba1 0.0000 0.0000 0.5000
Mg1 0.0000 0.5000 0.5000
Mg2 0.5000 0.0000 0.5000
Mg3 0.7114 0.2886 0.0000
Mg4 0.2886 0.7114 0.0000
Mg5 0.7114 0.7114 0.0000
Mg6 0.2886 0.2886 0.0000
W1 0.5000 0.5000 0.5000

Magnetic moment   0.0 μB per formula unit

---

Which structure loses on stability? P does.